1.
Li2Cu3C3O9: optimized geometry, PBE.

Computed properties:
The value obtained for the total magnetic moment is 0.8 μB/f.u. For the calculated formation energy, the calculation gives -149.3 kJ per mole of atoms. The total energy comes out at -6.380 eV/atom.

a = 6.187 Å, b = 8.106 Å, c = 8.149 Å
α = 60.38°, β = 90.00°, γ = 90.00°
Positions (direct):
O  0.500  0.183  0.925
O  0.753  0.551  0.594
Cu  0.253  0.299  0.034
O  0.000  0.894  0.180
O  0.247  0.551  0.594
Cu  0.747  0.299  0.034
Cu  0.249  0.680  0.293
O  0.000  0.190  0.927
O  0.000  0.246  0.239
Cu  0.249  0.020  0.675
O  0.500  0.889  0.180
C  0.500  0.999  0.999
Li  0.500  0.380  0.656
O  0.000  0.233  0.522
Cu  0.751  0.020  0.675
O  0.766  0.845  0.559
C  0.000  0.335  0.337
C  0.250  0.664  0.669
Li  0.000  0.379  0.656
O  0.500  0.926  0.885
O  0.000  0.517  0.255
O  0.500  0.521  0.248
C  0.000  0.004  0.996
C  0.750  0.664  0.669
O  0.269  0.590  0.848
Li  0.500  0.656  0.967
Li  0.000  0.965  0.378
O  0.234  0.845  0.559
Cu  0.751  0.680  0.293
O  0.731  0.590  0.848
O  0.000  0.933  0.887
O  0.500  0.237  0.516
O  0.500  0.252  0.231
C  0.500  0.334  0.332


2.
LiCu2C2O6: optimized geometry, PBE.

Computed properties:
The value obtained for the total magnetic moment is 0.1 μB/f.u. For the calculated formation energy, the calculation gives -151.6 kJ per mole of atoms. The total energy comes out at -6.492 eV/atom.

a = 5.674 Å, b = 6.390 Å, c = 7.647 Å
α = 92.53°, β = 96.88°, γ = 91.04°
Positions (direct):
O  0.725  0.832  0.210
O  0.275  0.168  0.790
O  0.456  0.283  0.565
O  0.544  0.717  0.435
O  0.216  0.672  0.729
O  0.993  0.214  0.059
Cu  0.308  0.055  0.020
O  0.347  0.919  0.238
C  0.541  0.822  0.296
Li  0.945  0.248  0.800
O  0.653  0.081  0.762
O  0.784  0.328  0.271
O  0.007  0.786  0.941
Cu  0.692  0.945  0.980
O  0.156  0.461  0.255
O  0.844  0.539  0.745
Cu  0.782  0.458  0.498
C  0.459  0.178  0.704
Cu  0.218  0.542  0.502
Li  0.055  0.752  0.200
C  0.024  0.666  0.803
C  0.976  0.334  0.197


3.
Li2Cu3C3O9: optimized geometry, PBE.

Computed properties:
The value obtained for the total magnetic moment is 1.0 μB/f.u. For the calculated formation energy, the calculation gives -151.6 kJ per mole of atoms. The total energy comes out at -6.404 eV/atom.

a = 14.242 Å, b = 14.258 Å, c = 6.278 Å
α = 89.45°, β = 90.52°, γ = 120.27°
Positions (direct):
Li  0.788  0.906  0.246
O  0.080  0.406  0.253
O  0.080  0.098  0.525
Li  0.800  0.546  0.244
O  0.910  0.648  0.481
Li  0.435  0.554  0.228
C  0.332  0.666  0.995
Cu  0.527  0.096  0.022
O  0.910  0.649  0.990
Cu  0.566  0.462  0.990
C  0.659  0.996  0.003
O  0.359  0.765  0.022
O  0.574  0.325  0.520
O  0.573  0.325  0.983
O  0.588  0.669  0.229
O  0.564  0.980  0.517
O  0.017  0.920  0.021
O  0.247  0.025  0.756
O  0.408  0.641  0.470
C  0.678  0.668  0.235
C  0.678  0.668  0.735
C  0.000  0.000  0.002
Cu  0.895  0.119  0.496
Li  0.118  0.215  0.756
Cu  0.887  0.775  0.987
O  0.899  0.981  0.503
O  0.317  0.911  0.276
O  0.676  0.914  0.974
O  0.899  0.981  0.993
O  0.755  0.427  0.492
O  0.745  0.093  0.518
O  0.022  0.581  0.515
O  0.424  0.093  0.259
Cu  0.547  0.773  0.468
O  0.346  0.261  0.963
O  0.346  0.260  0.502
O  0.745  0.094  0.018
C  0.328  0.006  0.263
O  0.677  0.576  0.737
O  0.231  0.590  0.987
O  0.430  0.100  0.759
C  0.009  0.665  0.001
C  0.659  0.996  0.503
Li  0.747  0.203  0.252
O  0.985  0.227  0.755
O  0.771  0.759  0.240
O  0.674  0.244  0.000
O  0.241  0.017  0.255
O  0.897  0.326  0.248
O  0.676  0.913  0.474
Cu  0.896  0.119  0.014
C  0.666  0.332  0.504
C  0.987  0.320  0.252
O  0.080  0.099  0.991
O  0.977  0.224  0.254
Cu  0.548  0.774  0.972
O  0.232  0.589  0.516
O  0.079  0.409  0.751
O  0.589  0.670  0.728
C  0.000  0.000  0.503
Cu  0.227  0.109  0.009
O  0.564  0.980  0.018
Cu  0.207  0.444  0.490
O  0.090  0.763  0.512
Cu  0.901  0.433  0.002
Cu  0.887  0.774  0.496
Li  0.454  0.250  0.751
C  0.009  0.665  0.502
O  0.235  0.328  0.006
Li  0.800  0.546  0.744
O  0.677  0.575  0.237
O  0.321  0.918  0.777
C  0.331  0.011  0.764
Li  0.787  0.907  0.746
O  0.235  0.328  0.534
O  0.024  0.584  0.967
Cu  0.565  0.460  0.478
O  0.359  0.765  0.526
O  0.674  0.244  0.500
O  0.415  0.441  0.482
Cu  0.239  0.791  0.031
C  0.666  0.332  0.994
Li  0.117  0.563  0.744
Cu  0.225  0.108  0.505
Cu  0.900  0.432  0.478
C  0.331  0.666  0.504
Cu  0.207  0.445  0.020
O  0.755  0.427  0.998
O  0.772  0.760  0.740
C  0.988  0.320  0.752
O  0.897  0.322  0.750
C  0.331  0.342  0.504
O  0.409  0.641  0.974
Cu  0.240  0.794  0.535
Li  0.096  0.881  0.256
O  0.416  0.442  0.987
O  0.089  0.761  0.046
O  0.018  0.921  0.479
Li  0.435  0.554  0.728
Li  0.746  0.201  0.752
Cu  0.526  0.095  0.511
C  0.332  0.343  0.987


Q: Which of these has the lowest total magnetic moment?
A: LiCu2C2O6


Repeat the first record exactly.
Li2Cu3C3O9: optimized geometry, PBE.

Computed properties:
The value obtained for the total magnetic moment is 0.8 μB/f.u. For the calculated formation energy, the calculation gives -149.3 kJ per mole of atoms. The total energy comes out at -6.380 eV/atom.

a = 6.187 Å, b = 8.106 Å, c = 8.149 Å
α = 60.38°, β = 90.00°, γ = 90.00°
Positions (direct):
O  0.500  0.183  0.925
O  0.753  0.551  0.594
Cu  0.253  0.299  0.034
O  0.000  0.894  0.180
O  0.247  0.551  0.594
Cu  0.747  0.299  0.034
Cu  0.249  0.680  0.293
O  0.000  0.190  0.927
O  0.000  0.246  0.239
Cu  0.249  0.020  0.675
O  0.500  0.889  0.180
C  0.500  0.999  0.999
Li  0.500  0.380  0.656
O  0.000  0.233  0.522
Cu  0.751  0.020  0.675
O  0.766  0.845  0.559
C  0.000  0.335  0.337
C  0.250  0.664  0.669
Li  0.000  0.379  0.656
O  0.500  0.926  0.885
O  0.000  0.517  0.255
O  0.500  0.521  0.248
C  0.000  0.004  0.996
C  0.750  0.664  0.669
O  0.269  0.590  0.848
Li  0.500  0.656  0.967
Li  0.000  0.965  0.378
O  0.234  0.845  0.559
Cu  0.751  0.680  0.293
O  0.731  0.590  0.848
O  0.000  0.933  0.887
O  0.500  0.237  0.516
O  0.500  0.252  0.231
C  0.500  0.334  0.332


Q: Which formula does entry 3 have?
A: Li2Cu3C3O9